Computed, not measured: EuNi6S8 after structural relaxation at the PBE-GGA level of DFT.

Computed properties:
SG ... R-3 (148)
Crystal system ... trigonal
Calculated volume ... 241.6 Å³/cell
Total magnetization ... 6.641 μB per formula unit
Raw total energy ... -5.733 eV/atom
Energy relative to the elements ... -11.99 eV/f.u.

Cell lengths 6.2285, 6.2285, 6.2285 Å; angles 89.52, 89.52, 89.52 degrees
Fractional coordinates of all 15 atoms:
1 Eu 0.0000 0.0000 0.0000
2 Ni 0.1926 0.5688 0.4071
3 Ni 0.4071 0.1926 0.5688
4 Ni 0.4312 0.5929 0.8074
5 Ni 0.5688 0.4071 0.1926
6 Ni 0.5929 0.8074 0.4312
7 Ni 0.8074 0.4312 0.5929
8 S 0.1473 0.3833 0.7293
9 S 0.2555 0.2555 0.2555
10 S 0.2707 0.8527 0.6167
11 S 0.3833 0.7293 0.1473
12 S 0.6167 0.2707 0.8527
13 S 0.7293 0.1473 0.3833
14 S 0.7445 0.7445 0.7445
15 S 0.8527 0.6167 0.2707